Na14Zr3Zn5Si6S6O48: optimized geometry, GGA-PBE.

Computed properties:
Magnetic moment = 0.0 μB per formula unit
Energy relative to the elements = -236 kJ per mole of atoms

Cell: 9.1981 16.0399 22.5490 Å, 89.47 89.93 89.80°
Last column: nearest neighbours and their distance in Å.
Space group P1 (No. 1)
Unique sites:
Na 0.0000 0.0000 0.0000 [1 per cell]  6 O 2.51-2.71
Na 0.0003 0.3490 0.0006 [1 per cell]  3 O 2.41-2.69
Na 0.0080 0.0252 0.3411 [1 per cell]  5 O 2.41-2.69
Na 0.1232 0.1634 0.8401 [1 per cell]  6 O 2.43-2.71
Na 0.1244 0.1966 0.1601 [1 per cell]  4 O 2.35-2.58
Na 0.1288 0.5216 0.8413 [1 per cell]  4 O 2.40-2.66
Na 0.1377 0.8567 0.5015 [1 per cell]  5 O 2.53-2.75
Na 0.1466 0.4882 0.5091 [1 per cell]  5 O 2.42-2.69
Na 0.1507 0.8216 0.1711 [1 per cell]  5 O 2.42-2.69
Na 0.1737 0.1915 0.5104 [1 per cell]  2 O 2.36-2.55
Na 0.2042 0.8475 0.8387 [1 per cell]  6 O 2.42-2.67
Na 0.2898 0.6810 0.2496 [1 per cell]  2 O 2.25-2.52
Na 0.3114 0.0085 0.9206 [1 per cell]  6 O 2.45-2.73
Na 0.3123 0.3390 0.0828 [1 per cell]  3 O 2.37-2.63
Na 0.3156 0.0043 0.4167 [1 per cell]  3 O 2.31-2.54
Na 0.3185 0.6871 0.7481 [1 per cell]  4 O 2.35-2.63
Na 0.3214 0.3455 0.5837 [1 per cell]  4 O 2.39-2.66
Na 0.4348 0.8528 0.3317 [1 per cell]  5 O 2.37-2.64
Na 0.4495 0.1916 0.0102 [1 per cell]  4 O 2.44-2.71
Na 0.4566 0.5192 0.6650 [1 per cell]  4 O 2.37-2.51
Na 0.4830 0.8164 0.6699 [1 per cell]  4 O 2.39-2.55
Na 0.4932 0.8595 0.9999 [1 per cell]  5 O 2.51-2.65
Na 0.4942 0.4888 0.0015 [1 per cell]  4 O 2.30-2.57
Na 0.5044 0.1647 0.3310 [1 per cell]  5 O 2.42-2.66
Na 0.5101 0.5190 0.3446 [1 per cell]  3 O 2.35-2.60
Na 0.6268 0.0261 0.8441 [1 per cell]  5 O 2.43-2.61
Na 0.6266 0.6616 0.8301 [1 per cell]  5 O 2.38-2.61
Na 0.6292 0.6952 0.1689 [1 per cell]  4 O 2.35-2.58
Na 0.6308 0.3645 0.4981 [1 per cell]  5 O 2.47-2.74
Na 0.6402 0.9916 0.5012 [1 per cell]  5 O 2.32-2.59
Na 0.6515 0.3174 0.1697 [1 per cell]  4 O 2.35-2.63
Na 0.7028 0.3453 0.8391 [1 per cell]  6 O 2.42-2.68
Na 0.8016 0.1839 0.2488 [1 per cell]  3 O 2.30-2.54
Na 0.8102 0.5106 0.4201 [1 per cell]  5 O 2.42-2.66
Na 0.8105 0.8258 0.5848 [1 per cell]  4 O 2.47-2.76
Na 0.8191 0.4994 0.9168 [1 per cell]  3 O 2.30-2.54
Na 0.8189 0.8486 0.0863 [1 per cell]  6 O 2.48-2.70
Na 0.8202 0.1908 0.7525 [1 per cell]  3 O 2.39-2.50
Na 0.9311 0.3472 0.3389 [1 per cell]  6 O 2.40-2.66
Na 0.9634 0.0168 0.6734 [1 per cell]  3 O 2.35-2.54
Na 0.9628 0.6901 0.0114 [1 per cell]  6 O 2.45-2.74
Na 0.9858 0.3235 0.6710 [1 per cell]  5 O 2.46-2.70
Zr 0.3104 0.0088 0.5750 [1 per cell]  4 O 1.96-2.17
Zr 0.3136 0.3371 0.7345 [1 per cell]  5 O 2.00-2.23
Zr 0.3178 0.6866 0.4079 [1 per cell]  4 O 1.99-2.11
Zr 0.3223 0.3407 0.2351 [1 per cell]  5 O 2.01-2.24
Zr 0.3234 0.0125 0.0727 [1 per cell]  6 O 2.03-2.21
Zr 0.7993 0.5127 0.5705 [1 per cell]  4 O 2.00-2.14
Zr 0.8151 0.8362 0.7351 [1 per cell]  4 O 2.00-2.12
Zr 0.8237 0.8411 0.2354 [1 per cell]  5 O 2.01-2.19
Zr 0.8294 0.5079 0.0754 [1 per cell]  3 O 1.95-2.10
Zn 0.2907 0.6920 0.1096 [1 per cell]  3 O 1.95-2.05
Zn 0.3046 0.3373 0.9412 [1 per cell]  4 O 1.97-2.16
Zn 0.3102 0.0027 0.7662 [1 per cell]  2 O 1.94-1.98
Zn 0.3253 0.3579 0.4425 [1 per cell]  4 O 1.96-2.11
Zn 0.3292 0.0045 0.2630 [1 per cell]  2 O 1.93-1.95
Zn 0.3293 0.6982 0.9079 [1 per cell]  3 O 1.92-2.12
Zn 0.3464 0.6848 0.6052 [1 per cell]  4 O 1.99-2.14
Zn 0.8013 0.2014 0.4091 [1 per cell]  3 O 1.91-2.10
Zn 0.8114 0.5028 0.7644 [1 per cell]  3 O 1.93-2.13
Zn 0.8117 0.1956 0.1037 [1 per cell]  4 O 1.98-2.18
Zn 0.8168 0.8402 0.4368 [1 per cell]  4 O 1.97-2.17
Zn 0.8176 0.8488 0.9363 [1 per cell]  4 O 1.95-2.18
Zn 0.8319 0.5047 0.2680 [1 per cell]  2 O 1.91-1.92
Zn 0.8331 0.1968 0.6097 [1 per cell]  3 O 1.94-2.07
Zn 0.8514 0.2045 0.9155 [1 per cell]  3 O 1.91-2.04
Si 0.0198 0.3500 0.8415 [1 per cell]  4 O 1.64-1.67
Si 0.1114 0.1762 0.0074 [1 per cell]  4 O 1.62-1.68
Si 0.1126 0.8492 0.3432 [1 per cell]  4 O 1.64-1.68
Si 0.1577 0.8295 0.0038 [1 per cell]  4 O 1.63-1.67
Si 0.1677 0.1561 0.6756 [1 per cell]  4 O 1.62-1.68
Si 0.1679 0.8574 0.6752 [1 per cell]  4 O 1.61-1.71
Si 0.4592 0.5338 0.5083 [1 per cell]  4 O 1.62-1.68
Si 0.4669 0.8603 0.1740 [1 per cell]  4 O 1.63-1.66
Si 0.4727 0.1553 0.1770 [1 per cell]  4 O 1.61-1.72
Si 0.4796 0.8312 0.5074 [1 per cell]  4 O 1.60-1.71
Si 0.5221 0.8484 0.8431 [1 per cell]  4 O 1.64-1.67
Si 0.6152 0.3476 0.3420 [1 per cell]  4 O 1.63-1.67
Si 0.6595 0.3320 0.0045 [1 per cell]  4 O 1.62-1.71
Si 0.6668 0.3610 0.6755 [1 per cell]  4 O 1.62-1.68
Si 0.6713 0.6555 0.6782 [1 per cell]  4 O 1.62-1.69
Si 0.9652 0.6552 0.1753 [1 per cell]  4 O 1.59-1.71
Si 0.9671 0.3600 0.1778 [1 per cell]  4 O 1.61-1.69
Si 0.9748 0.3298 0.5044 [1 per cell]  4 O 1.63-1.68
S 0.0205 0.0128 0.1749 [1 per cell]  4 O 1.45-1.52
S 0.0249 0.6799 0.5088 [1 per cell]  4 O 1.45-1.53
S 0.1122 0.5142 0.6749 [1 per cell]  4 O 1.46-1.54
S 0.1689 0.1965 0.3419 [1 per cell]  4 O 1.48-1.52
S 0.1705 0.4943 0.3406 [1 per cell]  4 O 1.47-1.51
S 0.1735 0.5369 0.0056 [1 per cell]  4 O 1.47-1.55
S 0.4603 0.4941 0.8422 [1 per cell]  4 O 1.48-1.51
S 0.4666 0.1956 0.8411 [1 per cell]  4 O 1.48-1.52
S 0.5206 0.5136 0.1738 [1 per cell]  4 O 1.46-1.52
S 0.5268 0.1747 0.5064 [1 per cell]  4 O 1.46-1.52
S 0.6110 0.6764 0.0066 [1 per cell]  4 O 1.48-1.51
S 0.6144 0.0136 0.6743 [1 per cell]  4 O 1.46-1.52
S 0.6694 0.6972 0.3404 [1 per cell]  4 O 1.46-1.53
S 0.6731 0.0330 0.0057 [1 per cell]  4 O 1.45-1.54
S 0.6732 0.9935 0.3421 [1 per cell]  4 O 1.49-1.50
S 0.9616 0.9934 0.8395 [1 per cell]  4 O 1.48-1.51
S 0.9628 0.0335 0.5063 [1 per cell]  4 O 1.47-1.55
S 0.9667 0.6962 0.8427 [1 per cell]  4 O 1.47-1.52
O 0.0064 0.5297 0.0111 [1 per cell]  1 S 1.55
O 0.0066 0.8392 0.2840 [1 per cell]  1 Si 1.66
O 0.0079 0.1869 0.3431 [1 per cell]  1 S 1.49
O 0.0085 0.1880 0.0654 [1 per cell]  1 Si 1.62
O 0.0102 0.8606 0.4019 [1 per cell]  1 Si 1.64
O 0.0116 0.5040 0.3352 [1 per cell]  1 S 1.47
O 0.0194 0.5000 0.6215 [1 per cell]  1 S 1.50
O 0.0215 0.1516 0.9468 [1 per cell]  1 Si 1.65
O 0.0245 0.5218 0.7295 [1 per cell]  1 S 1.48
O 0.1093 0.0227 0.2292 [1 per cell]  1 S 1.48
O 0.1160 0.6922 0.5602 [1 per cell]  1 S 1.45
O 0.1174 0.9977 0.1219 [1 per cell]  1 S 1.51
O 0.1190 0.6694 0.4535 [1 per cell]  1 S 1.53
O 0.1213 0.3646 0.9000 [1 per cell]  1 Si 1.64
O 0.1220 0.0050 0.8362 [1 per cell]  1 S 1.49
O 0.1274 0.6871 0.8436 [1 per cell]  1 S 1.48
O 0.1306 0.0275 0.5098 [1 per cell]  1 S 1.55
O 0.1317 0.3384 0.7835 [1 per cell]  1 Si 1.67
O 0.1387 0.6706 0.1718 [1 per cell]  1 Si 1.62
O 0.1460 0.3540 0.1800 [1 per cell]  1 Si 1.65
O 0.1530 0.3369 0.4971 [1 per cell]  1 Si 1.65
O 0.1747 0.7700 0.0624 [1 per cell]  1 Si 1.63
O 0.1959 0.4453 0.3958 [1 per cell]  1 S 1.48
O 0.1962 0.5848 0.9499 [1 per cell]  1 S 1.48
O 0.1978 0.9229 0.6165 [1 per cell]  1 Si 1.71
O 0.2001 0.2512 0.2877 [1 per cell]  1 S 1.52
O 0.2055 0.4345 0.6786 [1 per cell]  1 S 1.54
O 0.2058 0.1010 0.7341 [1 per cell]  1 Si 1.62
O 0.2099 0.5850 0.6693 [1 per cell]  1 S 1.46
O 0.2130 0.2607 0.0039 [1 per cell]  1 Si 1.65
O 0.2156 0.9332 0.3378 [1 per cell]  1 Si 1.65
O 0.2201 0.7646 0.3443 [1 per cell]  1 Si 1.68
O 0.2234 0.0939 0.0128 [1 per cell]  1 Si 1.68
O 0.2294 0.2373 0.3948 [1 per cell]  1 S 1.48
O 0.2317 0.4508 0.0035 [1 per cell]  1 S 1.48
O 0.2341 0.2534 0.6769 [1 per cell]  1 Si 1.68
O 0.2357 0.9228 0.0123 [1 per cell]  1 Si 1.67
O 0.2365 0.4501 0.2889 [1 per cell]  1 S 1.50
O 0.2368 0.5784 0.0575 [1 per cell]  1 S 1.47
O 0.2381 0.1133 0.3361 [1 per cell]  1 S 1.48
O 0.2393 0.1136 0.6146 [1 per cell]  1 Si 1.67
O 0.2387 0.7669 0.6653 [1 per cell]  1 Si 1.61
O 0.2386 0.7925 0.9450 [1 per cell]  1 Si 1.64
O 0.2441 0.8981 0.7332 [1 per cell]  1 Si 1.63
O 0.2458 0.5775 0.3431 [1 per cell]  1 S 1.51
O 0.3833 0.5765 0.5652 [1 per cell]  1 Si 1.62
O 0.3866 0.5773 0.8450 [1 per cell]  1 S 1.50
O 0.3866 0.8968 0.2328 [1 per cell]  1 Si 1.63
O 0.3890 0.1135 0.1190 [1 per cell]  1 Si 1.67
O 0.3909 0.2518 0.1789 [1 per cell]  1 Si 1.72
O 0.3938 0.7861 0.4499 [1 per cell]  1 Si 1.69
O 0.3950 0.1137 0.8346 [1 per cell]  1 S 1.48
O 0.3955 0.4385 0.5061 [1 per cell]  1 Si 1.64
O 0.3956 0.9263 0.5089 [1 per cell]  1 Si 1.71
O 0.4019 0.4516 0.7880 [1 per cell]  1 S 1.51
O 0.4045 0.7648 0.1673 [1 per cell]  1 Si 1.65
O 0.4067 0.2350 0.8951 [1 per cell]  1 S 1.48
O 0.4200 0.9332 0.8373 [1 per cell]  1 Si 1.66
O 0.4226 0.5887 0.4465 [1 per cell]  1 Si 1.68
O 0.4263 0.1067 0.2376 [1 per cell]  1 Si 1.63
O 0.4268 0.7605 0.8413 [1 per cell]  1 Si 1.66
O 0.4295 0.0983 0.5116 [1 per cell]  1 S 1.52
O 0.4295 0.5873 0.1631 [1 per cell]  1 S 1.46
O 0.4310 0.2490 0.5019 [1 per cell]  1 S 1.48
O 0.4317 0.4352 0.1770 [1 per cell]  1 S 1.50
O 0.4316 0.4423 0.8957 [1 per cell]  1 S 1.48
O 0.4318 0.9184 0.1149 [1 per cell]  1 Si 1.65
O 0.4336 0.2526 0.7884 [1 per cell]  1 S 1.52
O 0.4461 0.7817 0.5677 [1 per cell]  1 Si 1.60
O 0.4826 0.3460 0.9976 [1 per cell]  1 Si 1.65
O 0.4866 0.3652 0.6794 [1 per cell]  1 Si 1.66
O 0.4950 0.6648 0.6741 [1 per cell]  1 Si 1.63
O 0.5035 0.6934 0.3429 [1 per cell]  1 S 1.53
O 0.5065 0.0235 0.0108 [1 per cell]  1 S 1.54
O 0.5059 0.3374 0.2832 [1 per cell]  1 Si 1.67
O 0.5117 0.3585 0.4002 [1 per cell]  1 Si 1.63
O 0.5126 0.0051 0.3375 [1 per cell]  1 S 1.49
O 0.5172 0.9992 0.6210 [1 per cell]  1 S 1.52
O 0.5190 0.6846 0.0601 [1 per cell]  1 S 1.48
O 0.5229 0.6623 0.9522 [1 per cell]  1 S 1.49
O 0.5273 0.0246 0.7282 [1 per cell]  1 S 1.47
O 0.6064 0.5255 0.2280 [1 per cell]  1 S 1.47
O 0.6104 0.1587 0.4503 [1 per cell]  1 S 1.50
O 0.6199 0.4991 0.1208 [1 per cell]  1 S 1.52
O 0.6208 0.5058 0.8387 [1 per cell]  1 S 1.49
O 0.6229 0.1825 0.5577 [1 per cell]  1 S 1.46
O 0.6237 0.8601 0.9021 [1 per cell]  1 Si 1.64
O 0.6263 0.1861 0.8421 [1 per cell]  1 S 1.48
O 0.6339 0.8372 0.7850 [1 per cell]  1 Si 1.67
O 0.6405 0.5238 0.5082 [1 per cell]  1 Si 1.68
O 0.6446 0.1710 0.1699 [1 per cell]  1 Si 1.61
O 0.6461 0.8534 0.1797 [1 per cell]  1 Si 1.66
O 0.6534 0.8473 0.4972 [1 per cell]  1 Si 1.64
O 0.6785 0.2753 0.0639 [1 per cell]  1 Si 1.62
O 0.6947 0.0795 0.9492 [1 per cell]  1 S 1.48
O 0.6962 0.7503 0.2858 [1 per cell]  1 S 1.51
O 0.6983 0.9431 0.3968 [1 per cell]  1 S 1.49
O 0.6986 0.4227 0.6165 [1 per cell]  1 Si 1.68
O 0.7042 0.7519 0.0023 [1 per cell]  1 S 1.49
O 0.7042 0.9341 0.6778 [1 per cell]  1 S 1.52
O 0.7084 0.6045 0.7388 [1 per cell]  1 Si 1.62
O 0.7087 0.6003 0.0107 [1 per cell]  1 S 1.51
O 0.7096 0.2589 0.3400 [1 per cell]  1 Si 1.66
O 0.7132 0.0835 0.6645 [1 per cell]  1 S 1.46
O 0.7164 0.4324 0.3373 [1 per cell]  1 Si 1.65
O 0.7252 0.6125 0.3354 [1 per cell]  1 S 1.46
O 0.7270 0.7390 0.3930 [1 per cell]  1 S 1.47
O 0.7333 0.9460 0.0036 [1 per cell]  1 S 1.50
O 0.7332 0.9477 0.2898 [1 per cell]  1 S 1.50
O 0.7339 0.0741 0.0570 [1 per cell]  1 S 1.45
O 0.7362 0.2687 0.6682 [1 per cell]  1 Si 1.62
O 0.7374 0.7537 0.6776 [1 per cell]  1 Si 1.69
O 0.7390 0.4278 0.0121 [1 per cell]  1 Si 1.71
O 0.7401 0.2966 0.9450 [1 per cell]  1 Si 1.64
O 0.7430 0.3978 0.7344 [1 per cell]  1 Si 1.62
O 0.7452 0.6106 0.6203 [1 per cell]  1 Si 1.64
O 0.7471 0.0758 0.3443 [1 per cell]  1 S 1.49
O 0.8846 0.0744 0.8407 [1 per cell]  1 S 1.48
O 0.8875 0.3993 0.2348 [1 per cell]  1 Si 1.61
O 0.8893 0.2949 0.4459 [1 per cell]  1 Si 1.64
O 0.8890 0.6179 0.1132 [1 per cell]  1 Si 1.68
O 0.8892 0.7528 0.1779 [1 per cell]  1 Si 1.71
O 0.8969 0.6142 0.8365 [1 per cell]  1 S 1.47
O 0.9022 0.0730 0.5596 [1 per cell]  1 S 1.47
O 0.9018 0.2667 0.1713 [1 per cell]  1 Si 1.62
O 0.9054 0.4257 0.5134 [1 per cell]  1 Si 1.68
O 0.9053 0.9476 0.7862 [1 per cell]  1 S 1.51
O 0.9063 0.7363 0.8964 [1 per cell]  1 S 1.48
O 0.9069 0.9471 0.5037 [1 per cell]  1 S 1.48
O 0.9108 0.6028 0.2315 [1 per cell]  1 Si 1.59
O 0.9177 0.4346 0.8354 [1 per cell]  1 Si 1.65
O 0.9239 0.2628 0.8405 [1 per cell]  1 Si 1.66
O 0.9274 0.0849 0.1669 [1 per cell]  1 S 1.45
O 0.9294 0.7541 0.5008 [1 per cell]  1 S 1.49
O 0.9323 0.9332 0.1782 [1 per cell]  1 S 1.52
O 0.9342 0.0826 0.4513 [1 per cell]  1 S 1.48
O 0.9338 0.4193 0.1172 [1 per cell]  1 Si 1.69
O 0.9350 0.7527 0.7897 [1 per cell]  1 S 1.52
O 0.9362 0.9423 0.8939 [1 per cell]  1 S 1.49
O 0.9386 0.6010 0.5109 [1 per cell]  1 S 1.50
O 0.9561 0.2697 0.5627 [1 per cell]  1 Si 1.63
O 0.9783 0.8416 0.9974 [1 per cell]  1 Si 1.67
O 0.9875 0.8642 0.6791 [1 per cell]  1 Si 1.67
O 0.9904 0.1624 0.6709 [1 per cell]  1 Si 1.64